1.
A plane-wave DFT calculation with PBE with a Hubbard U was carried out for crystalline Li2Ti2Fe3O10 at its relaxed geometry.

Summary:
* magnetization: 14.00 Bohr magnetons per cell
* corrected total energy (MP2020 scheme): -7.903 eV per atom

abc: 5.1191 5.2159 7.8085
angles: 75.67 76.39 77.31
Space group P-1 (No. 2)
Inequivalent atoms, fractional coordinates:
Li (0.0412, 0.2821, 0.3942) [2 per cell]
Ti (0.4897, 0.6285, 0.3177) [2 per cell]
Fe (0.0000, 0.5000, 0.0000) [1 per cell]
Fe (0.4683, 0.8111, 0.8925) [2 per cell]
O (0.2146, 0.6860, 0.7890) [2 per cell]
O (0.2740, 0.4315, 0.5136) [2 per cell]
O (0.2822, 0.5392, 0.1420) [2 per cell]
O (0.2840, 0.1788, 0.9359) [2 per cell]
O (0.3240, 0.9746, 0.3194) [2 per cell]

---

2.
A plane-wave DFT calculation with PBE with a Hubbard U was carried out for crystalline LiCrMo2O8 at its relaxed geometry.

Summary:
* magnetization: 6.00 Bohr magnetons per cell
* corrected total energy (MP2020 scheme): -8.200 eV per atom

abc: 6.8256 7.2375 7.5280
angles: 91.45 110.33 104.89
Space group P-1 (No. 2)
Inequivalent atoms, fractional coordinates:
Li (0.2301, 0.0493, 0.2546) [2 per cell]
Cr (0.4112, 0.6005, 0.8222) [2 per cell]
Mo (0.1749, 0.5295, 0.2883) [2 per cell]
Mo (0.3319, 0.0756, 0.7833) [2 per cell]
O (0.0908, 0.9834, 0.8241) [2 per cell]
O (0.1167, 0.5549, 0.8403) [2 per cell]
O (0.2450, 0.5332, 0.5415) [2 per cell]
O (0.2532, 0.0794, 0.5381) [2 per cell]
O (0.2757, 0.7684, 0.2474) [2 per cell]
O (0.3067, 0.3662, 0.2186) [2 per cell]
O (0.4286, 0.3391, 0.8922) [2 per cell]
O (0.4830, 0.8878, 0.8379) [2 per cell]

---

3.
A plane-wave DFT calculation with PBE with a Hubbard U was carried out for crystalline La2MnVO6 at its relaxed geometry.

Summary:
* magnetization: 12.00 Bohr magnetons per cell
* corrected total energy (MP2020 scheme): -8.939 eV per atom

abc: 5.6265 5.7018 9.7972
angles: 90.00 125.00 90.00
Space group P2_1/c (No. 14)
Inequivalent atoms, fractional coordinates:
La (0.2422, 0.0472, 0.2514) [4 per cell]
Mn (0.5000, 0.0000, 0.0000) [2 per cell]
V (0.0000, 0.0000, 0.5000) [2 per cell]
O (0.1377, 0.2222, 0.9480) [4 per cell]
O (0.2381, 0.6926, 0.9533) [4 per cell]
O (0.3329, 0.0271, 0.7397) [4 per cell]